Material: YMg6Ga
Method: DFT, PBE
State: optimized geometry

The structure in POSCAR format:
```
YMg6Ga
1.0
-2.079 4.416 1.413
-1.964 0.911 -5.739
-10.165 -5.613 2.588
Mg Y Ga
12 2 2
direct
0.500 0.753 0.929 Mg
0.000 0.751 0.575 Mg
0.500 0.747 0.429 Mg
0.500 0.247 0.929 Mg
0.000 0.249 0.575 Mg
0.500 0.253 0.429 Mg
0.000 0.251 0.075 Mg
0.000 0.000 0.811 Mg
0.000 0.500 0.842 Mg
0.000 0.749 0.075 Mg
0.000 0.500 0.311 Mg
0.000 0.000 0.342 Mg
0.500 0.000 0.182 Y
0.500 0.500 0.682 Y
0.500 0.500 0.156 Ga
0.500 0.000 0.656 Ga
```

Computed properties:
The calculation puts the formation enthalpy at 0 K at -0.6 eV/f.u.